Entry from the Materials Project: V2ZnO4 after structural relaxation (PBE+U).

Unit cell a=10.487 b=6.084 c=10.534 alpha=90.00 beta=109.61 gamma=90.00
Space group Cm (No. 8)
Unique sites:
V (0.000, 0.000, 0.000)
V (0.000, 0.252, 0.745)
V (0.314, 0.500, 0.435)
V (0.315, 0.000, 0.935)
V (0.498, 0.000, 0.500)
V (0.498, 0.253, 0.246)
Zn (0.181, 0.000, 0.557)
Zn (0.181, 0.500, 0.058)
Zn (0.247, 0.000, 0.247)
Zn (0.247, 0.500, 0.745)
O (0.110, 0.500, 0.856)
O (0.111, 0.235, 0.123)
O (0.111, 0.500, 0.370)
O (0.113, 0.000, 0.357)
O (0.114, 0.267, 0.624)
O (0.115, 0.000, 0.869)
O (0.380, 0.000, 0.132)
O (0.381, 0.240, 0.370)
O (0.383, 0.264, 0.871)
O (0.385, 0.500, 0.128)
O (0.385, 0.500, 0.633)
O (0.386, 0.000, 0.623)

Calculated values
Energy above the lowest structure with this stoichiometry ... 45 meV/atom
Energy relative to the elements ... -1551 kJ/mol of formula units

=====

Entry from the Materials Project: Li9Mn2Co5O16 after structural relaxation (PBE+U).

Unit cell a=10.332 b=5.816 c=9.713 alpha=90.00 beta=99.78 gamma=90.00
Space group Cm (No. 8)
Unique sites:
Li (0.000, 0.000, 0.000)
Li (0.000, 0.249, 0.500)
Li (0.122, 0.000, 0.757)
Li (0.128, 0.500, 0.754)
Li (0.250, 0.249, 0.000)
Li (0.374, 0.000, 0.246)
Li (0.374, 0.500, 0.237)
Mn (0.248, 0.000, 0.501)
Mn (0.499, 0.000, 0.999)
Co (0.120, 0.246, 0.243)
Co (0.253, 0.500, 0.498)
Co (0.380, 0.258, 0.756)
O (0.053, 0.267, 0.876)
O (0.074, 0.500, 0.366)
O (0.075, 0.000, 0.380)
O (0.174, 0.500, 0.117)
O (0.183, 0.000, 0.141)
O (0.196, 0.243, 0.615)
O (0.305, 0.241, 0.385)
O (0.313, 0.500, 0.857)
O (0.326, 0.000, 0.883)
O (0.419, 0.000, 0.625)
O (0.432, 0.500, 0.627)
O (0.446, 0.236, 0.121)

Calculated values
Energy above the lowest structure with this stoichiometry ... 33 meV/atom
Energy relative to the elements ... -5654 kJ/mol of formula units

=====

Entry from the Materials Project: KLaFe4O12 after structural relaxation (PBE+U).

Unit cell a=7.697 b=7.737 c=7.709 alpha=90.00 beta=90.00 gamma=90.00
Space group Amm2 (No. 38)
Unique sites:
K (0.000, 0.000, 0.000)
La (0.500, 0.000, 0.501)
Fe (0.245, 0.250, 0.250)
O (0.000, 0.247, 0.252)
O (0.259, 0.000, 0.742)
O (0.261, 0.240, 0.500)
O (0.267, 0.000, 0.257)
O (0.500, 0.246, 0.749)

Calculated values
Energy relative to the elements ... -2465 kJ/mol of formula units

=====

Entry from the Materials Project: Ba2NbVO6 after structural relaxation (PBE+U).

Unit cell a=8.245 b=8.250 c=10.035 alpha=114.15 beta=114.23 gamma=90.16
Space group P-1 (No. 2)
Unique sites:
Ba (0.124, 0.125, 0.250)
Ba (0.126, 0.626, 0.250)
Ba (0.374, 0.376, 0.750)
Ba (0.375, 0.875, 0.750)
Nb (0.000, 0.000, 0.500)
Nb (0.250, 0.750, 0.000)
Nb (0.500, 0.500, 0.500)
V (0.000, 0.500, 0.500)
V (0.250, 0.250, 0.000)
V (0.500, 0.000, 0.500)
O (0.001, 0.753, 0.500)
O (0.003, 0.750, 0.000)
O (0.125, 0.125, 0.750)
O (0.125, 0.625, 0.750)
O (0.246, 0.000, 0.500)
O (0.250, 0.505, 0.000)
O (0.250, 0.995, 0.000)
O (0.254, 0.501, 0.500)
O (0.375, 0.375, 0.250)
O (0.375, 0.875, 0.250)
O (0.497, 0.750, 0.000)
O (0.500, 0.253, 0.500)

Calculated values
Energy relative to the elements ... -3010 kJ/mol of formula units

=====

Entry from the Materials Project: Sr2MoO4 after structural relaxation (PBE+U).

Unit cell a=4.022 b=4.022 c=12.988 alpha=90.00 beta=90.00 gamma=90.00
Space group I4/mmm (No. 139)
Unique sites:
Sr (0.000, 0.000, 0.150)
Mo (0.000, 0.000, 0.500)
O (0.000, 0.000, 0.336)
O (0.000, 0.500, 0.000)

Calculated values
Energy relative to the elements ... -1835 kJ/mol of formula units

=====

Entry from the Materials Project: MgAg6Mo10O33 after structural relaxation (PBE+U).

Unit cell a=7.737 b=8.854 c=11.644 alpha=77.18 beta=79.27 gamma=75.99
Space group P1 (No. 1)
Unique sites:
Mg (0.000, 0.000, 0.000)
Ag (0.134, 0.369, 0.487)
Ag (0.322, 0.698, 0.974)
Ag (0.584, 0.200, 0.959)
Ag (0.822, 0.226, 0.425)
Ag (0.943, 0.814, 0.490)
Ag (0.967, 0.342, 0.064)
Mo (0.065, 0.001, 0.710)
Mo (0.179, 0.565, 0.758)
Mo (0.271, 0.002, 0.213)
Mo (0.417, 0.801, 0.548)
Mo (0.487, 0.593, 0.279)
Mo (0.563, 0.005, 0.711)
Mo (0.678, 0.574, 0.747)
Mo (0.731, 0.976, 0.210)
Mo (0.823, 0.764, 0.909)
Mo (0.911, 0.614, 0.239)
O (0.034, 0.147, 0.580)
O (0.038, 0.108, 0.826)
O (0.090, 0.122, 0.287)
O (0.090, 0.481, 0.175)
O (0.090, 0.782, 0.856)
O (0.157, 0.797, 0.615)
O (0.201, 0.437, 0.895)
O (0.204, 0.444, 0.655)
O (0.222, 0.008, 0.067)
O (0.291, 0.793, 0.289)
O (0.334, 0.961, 0.687)
O (0.370, 0.448, 0.360)
O (0.384, 0.969, 0.438)
O (0.419, 0.618, 0.722)
O (0.462, 0.596, 0.132)
O (0.473, 0.088, 0.184)
O (0.473, 0.128, 0.814)
O (0.480, 0.646, 0.466)
O (0.595, 0.784, 0.839)
O (0.612, 0.135, 0.577)
O (0.639, 0.795, 0.605)
O (0.644, 0.439, 0.881)
O (0.654, 0.765, 0.239)
O (0.733, 0.470, 0.291)
O (0.763, 0.942, 0.985)
O (0.765, 0.996, 0.350)
O (0.780, 0.459, 0.641)
O (0.824, 0.146, 0.098)
O (0.828, 0.951, 0.736)
O (0.832, 0.617, 0.041)
O (0.909, 0.620, 0.774)
O (0.964, 0.609, 0.382)
O (0.964, 0.820, 0.161)

Calculated values
Energy above the lowest structure with this stoichiometry ... 18 meV/atom
Energy relative to the elements ... -8018 kJ/mol of formula units